Version P
# MnH12C2NCl3O2 (GGA+U, optimized geometry)
data_MnH12C2NCl3O2
_chemical_formula_sum 'Mn4 H48 C8 N4 Cl12 O8'
_cell_length_a 10.646
_cell_length_b 10.646
_cell_length_c 9.249
_cell_angle_alpha 90.70
_cell_angle_beta 90.70
_cell_angle_gamma 70.17
_space_group_name_H-M_alt 'P 1'
_space_group_IT_number 1
loop_
_space_group_symop_operation_xyz
'x,y,z'
loop_
_atom_site_label
_atom_site_fract_x
_atom_site_fract_y
_atom_site_fract_z
Mn1 0.234 0.262 0.214
Mn2 0.262 0.234 0.714
Mn3 0.738 0.766 0.286
Mn4 0.766 0.738 0.786
H1 0.019 0.653 0.328
H2 0.026 0.822 0.096
H3 0.046 0.275 0.528
H4 0.112 0.642 0.916
H5 0.115 0.859 0.948
H6 0.141 0.885 0.552
H7 0.146 0.509 0.657
H8 0.165 0.595 0.086
H9 0.178 0.974 0.404
H10 0.183 0.804 0.380
H11 0.196 0.817 0.120
H12 0.244 0.443 0.531
H13 0.275 0.046 0.028
H14 0.320 0.670 0.622
H15 0.330 0.680 0.878
H16 0.338 0.509 0.901
H17 0.347 0.981 0.172
H18 0.358 0.888 0.584
H19 0.378 0.601 0.049
H20 0.399 0.622 0.451
H21 0.405 0.835 0.414
H22 0.443 0.244 0.031
H23 0.491 0.662 0.599
H24 0.491 0.854 0.843
H25 0.509 0.146 0.157
H26 0.509 0.338 0.401
H27 0.557 0.756 0.969
H28 0.595 0.165 0.586
H29 0.601 0.378 0.549
H30 0.622 0.399 0.951
H31 0.642 0.112 0.416
H32 0.653 0.019 0.828
H33 0.662 0.491 0.099
H34 0.670 0.320 0.122
H35 0.680 0.330 0.378
H36 0.725 0.954 0.972
H37 0.756 0.557 0.469
H38 0.804 0.183 0.880
H39 0.817 0.196 0.620
H40 0.822 0.026 0.596
H41 0.835 0.405 0.914
H42 0.854 0.491 0.343
H43 0.859 0.115 0.448
H44 0.885 0.141 0.052
H45 0.888 0.358 0.084
H46 0.954 0.725 0.472
H47 0.974 0.178 0.904
H48 0.981 0.347 0.672
C1 0.124 0.798 0.045
C2 0.202 0.876 0.455
C3 0.315 0.607 0.953
C4 0.393 0.685 0.547
C5 0.607 0.315 0.453
C6 0.685 0.393 0.047
C7 0.798 0.124 0.545
C8 0.876 0.202 0.955
N1 0.173 0.655 0.000
N2 0.345 0.827 0.500
N3 0.655 0.173 0.500
N4 0.827 0.345 0.000
Cl1 0.000 0.290 0.296
Cl2 0.000 0.710 0.704
Cl3 0.157 0.342 0.954
Cl4 0.216 0.498 0.297
Cl5 0.290 0.000 0.796
Cl6 0.342 0.157 0.454
Cl7 0.498 0.216 0.797
Cl8 0.502 0.784 0.203
Cl9 0.658 0.843 0.546
Cl10 0.710 0.000 0.204
Cl11 0.784 0.502 0.703
Cl12 0.843 0.658 0.046
O1 0.055 0.268 0.635
O2 0.234 0.440 0.638
O3 0.268 0.055 0.135
O4 0.440 0.234 0.138
O5 0.560 0.766 0.862
O6 0.732 0.945 0.865
O7 0.766 0.560 0.362
O8 0.945 0.732 0.365
# Space-group type = No. 15
# Total magnetic moment = 5.00 μB per formula unit

Version Q
# MnH12C2NCl3O2 (GGA+U, optimized geometry)
data_MnH12C2NCl3O2
_chemical_formula_sum 'Mn4 H48 C8 N4 Cl12 O8'
_cell_length_a 11.996
_cell_length_b 11.996
_cell_length_c 11.380
_cell_angle_alpha 90.00
_cell_angle_beta 90.00
_cell_angle_gamma 65.27
_space_group_name_H-M_alt 'P 1'
_space_group_IT_number 1
loop_
_space_group_symop_operation_xyz
'x,y,z'
loop_
_atom_site_label
_atom_site_fract_x
_atom_site_fract_y
_atom_site_fract_z
Mn1 0.101 0.899 0.915
Mn2 0.399 0.601 0.415
Mn3 0.601 0.399 0.585
Mn4 0.899 0.101 0.085
H1 0.012 0.248 0.510
H2 0.030 0.313 0.908
H3 0.097 0.168 0.063
H4 0.114 0.355 0.016
H5 0.145 0.386 0.484
H6 0.168 0.097 0.937
H7 0.170 0.793 0.642
H8 0.185 0.290 0.879
H9 0.187 0.470 0.592
H10 0.207 0.830 0.642
H11 0.210 0.315 0.621
H12 0.248 0.012 0.490
H13 0.252 0.488 0.990
H14 0.290 0.185 0.121
H15 0.293 0.670 0.142
H16 0.313 0.030 0.092
H17 0.315 0.210 0.379
H18 0.330 0.707 0.142
H19 0.332 0.403 0.437
H20 0.355 0.114 0.984
H21 0.386 0.145 0.516
H22 0.403 0.332 0.563
H23 0.470 0.187 0.408
H24 0.488 0.252 0.010
H25 0.512 0.748 0.990
H26 0.530 0.813 0.592
H27 0.597 0.668 0.437
H28 0.614 0.855 0.484
H29 0.645 0.886 0.016
H30 0.668 0.597 0.563
H31 0.670 0.293 0.858
H32 0.685 0.790 0.621
H33 0.687 0.970 0.908
H34 0.707 0.330 0.858
H35 0.710 0.815 0.879
H36 0.748 0.512 0.010
H37 0.752 0.988 0.510
H38 0.790 0.685 0.379
H39 0.793 0.170 0.358
H40 0.813 0.530 0.408
H41 0.815 0.710 0.121
H42 0.830 0.207 0.358
H43 0.832 0.903 0.063
H44 0.855 0.614 0.516
H45 0.886 0.645 0.984
H46 0.903 0.832 0.937
H47 0.970 0.687 0.092
H48 0.988 0.752 0.490
C1 0.120 0.289 0.946
C2 0.211 0.380 0.554
C3 0.289 0.120 0.054
C4 0.380 0.211 0.446
C5 0.620 0.789 0.554
C6 0.711 0.880 0.946
C7 0.789 0.620 0.446
C8 0.880 0.711 0.054
N1 0.164 0.164 0.000
N2 0.336 0.336 0.500
N3 0.664 0.664 0.500
N4 0.836 0.836 0.000
Cl1 0.021 0.251 0.397
Cl2 0.086 0.914 0.119
Cl3 0.249 0.479 0.103
Cl4 0.251 0.021 0.603
Cl5 0.414 0.586 0.619
Cl6 0.479 0.249 0.897
Cl7 0.521 0.751 0.103
Cl8 0.586 0.414 0.381
Cl9 0.749 0.979 0.397
Cl10 0.751 0.521 0.897
Cl11 0.914 0.086 0.881
Cl12 0.979 0.749 0.603
O1 0.048 0.796 0.868
O2 0.204 0.952 0.868
O3 0.296 0.548 0.368
O4 0.452 0.704 0.368
O5 0.548 0.296 0.632
O6 0.704 0.452 0.632
O7 0.796 0.048 0.132
O8 0.952 0.204 0.132
# Space-group type = No. 64
# Total magnetic moment = 0.00 μB per formula unit

Version R
# MnH12C2NCl3O2 (GGA+U, optimized geometry)
data_MnH12C2NCl3O2
_chemical_formula_sum 'Mn4 H48 C8 N4 Cl12 O8'
_cell_length_a 11.737
_cell_length_b 11.737
_cell_length_c 11.799
_cell_angle_alpha 90.00
_cell_angle_beta 90.00
_cell_angle_gamma 69.63
_space_group_name_H-M_alt 'P 1'
_space_group_IT_number 1
loop_
_space_group_symop_operation_xyz
'x,y,z'
loop_
_atom_site_label
_atom_site_fract_x
_atom_site_fract_y
_atom_site_fract_z
Mn1 0.121 0.879 0.886
Mn2 0.379 0.621 0.386
Mn3 0.621 0.379 0.614
Mn4 0.879 0.121 0.114
H1 0.008 0.248 0.509
H2 0.030 0.308 0.916
H3 0.098 0.160 0.064
H4 0.118 0.353 0.019
H5 0.147 0.382 0.481
H6 0.160 0.098 0.936
H7 0.182 0.778 0.724
H8 0.184 0.294 0.884
H9 0.192 0.470 0.584
H10 0.206 0.316 0.616
H11 0.222 0.818 0.724
H12 0.248 0.008 0.491
H13 0.252 0.492 0.991
H14 0.278 0.682 0.224
H15 0.294 0.184 0.116
H16 0.308 0.030 0.084
H17 0.316 0.206 0.384
H18 0.318 0.722 0.224
H19 0.340 0.402 0.436
H20 0.353 0.118 0.981
H21 0.382 0.147 0.519
H22 0.402 0.340 0.564
H23 0.470 0.192 0.416
H24 0.492 0.252 0.009
H25 0.508 0.748 0.991
H26 0.530 0.808 0.584
H27 0.598 0.660 0.436
H28 0.618 0.853 0.481
H29 0.647 0.882 0.019
H30 0.660 0.598 0.564
H31 0.682 0.278 0.776
H32 0.684 0.794 0.616
H33 0.692 0.970 0.916
H34 0.706 0.816 0.884
H35 0.722 0.318 0.776
H36 0.748 0.508 0.009
H37 0.752 0.992 0.509
H38 0.778 0.182 0.276
H39 0.794 0.684 0.384
H40 0.808 0.530 0.416
H41 0.816 0.706 0.116
H42 0.818 0.222 0.276
H43 0.840 0.902 0.064
H44 0.853 0.618 0.519
H45 0.882 0.647 0.981
H46 0.902 0.840 0.936
H47 0.970 0.692 0.084
H48 0.992 0.752 0.491
C1 0.121 0.287 0.951
C2 0.213 0.379 0.549
C3 0.287 0.121 0.049
C4 0.379 0.213 0.451
C5 0.621 0.787 0.549
C6 0.713 0.879 0.951
C7 0.787 0.621 0.451
C8 0.879 0.713 0.049
N1 0.163 0.163 0.000
N2 0.337 0.337 0.500
N3 0.663 0.663 0.500
N4 0.837 0.837 0.000
Cl1 0.013 0.237 0.401
Cl2 0.147 0.853 0.069
Cl3 0.237 0.013 0.599
Cl4 0.263 0.487 0.099
Cl5 0.353 0.647 0.569
Cl6 0.487 0.263 0.901
Cl7 0.513 0.737 0.099
Cl8 0.647 0.353 0.431
Cl9 0.737 0.513 0.901
Cl10 0.763 0.987 0.401
Cl11 0.853 0.147 0.931
Cl12 0.987 0.763 0.599
O1 0.007 0.829 0.846
O2 0.171 0.993 0.846
O3 0.329 0.507 0.346
O4 0.493 0.671 0.346
O5 0.507 0.329 0.654
O6 0.671 0.493 0.654
O7 0.829 0.007 0.154
O8 0.993 0.171 0.154
# Space-group type = No. 64
# Total magnetic moment = 0.01 μB per formula unit

Stability ranking, top and bottom: version P is the most stable and version R is the least stable.